1.
108
Lattice="-9.9796 2.2023 -5.6134 0.4383 -8.4606 8.0112 -5.2992 13.7563 14.8180" Properties=species:S:1:pos:R:3 comment="Sr8Ti7S21, relaxed, DFT PBE" magnetic_moment_mub_per_atom=0.0026 corrected_energy_ev_per_fu=-226.85 space_group="P3, No. 143" pbc="T T T"
Sr -3.9870 0.4413 3.7212
S -8.6375 9.2988 8.5793
S -2.3768 -1.4414 5.6427
Sr -0.4483 -1.9343 3.3722
Ti -3.5497 -3.5685 4.9107
Ti -5.2904 13.7336 14.7935
S -10.4000 4.5932 4.1288
S -8.7935 4.9280 13.9878
Ti -11.2901 11.0646 12.3031
Sr -1.8616 1.5988 7.2564
Sr -5.7467 3.7173 7.3626
S -9.6240 7.6239 5.7319
Sr -11.9264 14.2418 10.2630
S -3.2274 -3.0445 2.6318
Sr -7.9921 -0.0244 6.5709
S -4.5739 0.9562 16.6437
Sr -10.8492 7.0555 13.4966
S -12.7138 7.4752 15.9787
Ti -4.5513 11.8150 12.7268
S -5.6415 -2.1505 5.1335
Sr -6.8143 7.5324 10.6067
S -13.2661 12.3626 12.3078
Sr -8.1650 11.1104 14.5152
S -3.8640 -3.9121 7.4045
S -7.6969 5.9535 7.9718
Ti -9.7773 7.1375 8.0729
Sr -7.1959 -4.2209 6.9018
Sr -7.6447 11.7221 10.3103
Sr -2.9153 -6.7431 6.9543
S -4.4517 2.8780 13.1053
Sr -2.0719 0.5987 11.5720
Sr -12.7289 6.8946 5.6617
Sr -10.5533 10.6038 6.4182
Ti -1.4914 3.8715 4.1703
S -4.8170 -5.4681 4.3133
S -3.3925 3.7415 5.5927
S -8.5094 5.8508 17.5937
S -11.6129 10.5447 14.5867
S -1.5759 -4.8631 4.9107
Ti -10.5399 9.1172 10.2054
S -7.1400 5.4004 4.5453
Ti -6.7614 -0.6916 -0.3605
S -6.0462 2.5648 3.2349
S -6.0498 4.1421 15.6985
S -6.0711 4.9283 20.7187
S -3.9369 2.4769 9.5517
Sr -0.9162 -3.1616 8.1641
S -10.0245 12.9690 12.9042
Sr -6.6500 8.4939 6.3509
S -10.9626 5.1137 7.5835
S -8.8843 0.9047 3.7611
Sr -14.3919 9.4332 13.8454
S -4.4606 6.4933 7.0899
S -6.1890 -1.7953 8.6577
S -4.9854 0.7776 6.6995
S -13.7608 6.0975 12.8298
S -6.0716 -0.7206 1.9177
S -12.4635 8.9398 11.5794
S -7.7211 2.1120 12.6472
Ti -4.3049 -1.6079 7.0226
S -11.3320 1.9741 8.8280
S -3.5225 7.5239 10.9225
Sr -6.6758 -3.6105 2.7013
S -5.1271 11.3207 15.1218
S -8.9630 -0.1979 0.3984
S -9.7118 -3.8280 2.0925
S -8.7706 8.2197 15.3011
S -5.8790 7.6990 16.8187
S -9.1976 9.6544 12.0840
S -7.2240 1.4627 9.3176
S -12.5415 12.7092 7.1279
S -6.3304 1.6495 -0.3751
S -1.0724 1.4016 4.3765
Sr -9.1004 3.8108 9.8221
Ti -7.3132 6.2013 15.4346
Ti -9.0265 5.1884 5.9734
Ti -7.5227 1.2848 1.7685
Sr -4.3211 -3.1271 10.7642
Ti -8.2723 3.2306 3.8644
S -8.7706 2.5668 -3.5076
S -2.8915 -0.8178 8.9295
Ti -2.2682 5.8881 6.3425
Ti -0.7438 1.9307 2.0797
S -5.0912 -0.0998 11.5309
S -11.3414 3.6294 11.7418
Sr -8.2232 -1.0224 10.8771
S -6.2956 4.6028 10.8447
S -5.9642 6.5951 13.4519
S -8.5118 2.9039 6.3724
S -11.9530 8.3412 8.2826
S -2.2935 -5.2219 10.0888
Ti -5.8142 2.3102 11.2431
S -9.7258 -1.7899 8.4629
S -9.8765 6.7192 10.5309
S -2.1233 0.0211 1.2329
Ti -3.0467 7.9091 8.5195
S -11.6616 8.0708 3.0503
S -10.9817 11.4130 9.8134
S -8.7844 3.3617 1.5159
Sr -12.9568 5.8529 9.9692
Sr -13.9281 10.6566 9.0524
Ti -5.0679 0.3728 9.1562
S -5.8420 9.9067 12.1254
Ti -8.0764 8.1826 17.5687
S -9.0052 -2.4147 5.0824
Ti -6.5638 4.2559 13.3390
S -1.5272 -2.2824 11.8520
Ti -3.8215 9.9203 10.6860

2.
4
Lattice="0.5585 2.0868 -3.5711 0.5585 -2.0868 -3.5711 -7.2392 0.0000 -3.5711" Properties=species:S:1:pos:R:3 comment="RbSmS2, relaxed, DFT PBE" corrected_energy_ev_per_fu=-22.30 space_group="R-3m, No. 166" pbc="T T T"
S -1.9471 0.0000 -2.7435
Sm -3.0611 0.0000 -5.3566
S -4.1752 0.0000 -7.9698
Rb 0.0000 0.0000 0.0000

3.
7
Lattice="-1.3515 3.1385 1.1151 -6.6012 -1.6732 -3.7288 -1.1025 -1.3898 2.5754" Properties=species:S:1:pos:R:3 comment="NaMgCu2O3, relaxed, DFT PBE" magnetic_moment_mub_per_atom=0.0000 corrected_energy_ev_per_fu=-36.06 polymorph_energy_mev_per_atom=0.5 space_group="P2/m, No. 10" pbc="T T T"
Na -0.5512 -0.6949 1.2877
Cu -5.6404 0.2637 -2.2723
Cu -2.3123 1.2015 -0.3414
Mg -3.8518 -1.5315 -0.5767
O -5.7564 1.9609 -1.4060
O -0.6758 1.5692 0.5576
O -2.1963 -0.4957 -1.2077

4.
16
Lattice="-8.1621 0.3652 -3.2641 1.4522 -1.6736 -3.8185 -0.7794 -4.0812 1.4923" Properties=species:S:1:pos:R:3 comment="HfMg6NbO8, relaxed, DFT PBE" magnetic_moment_mub_per_atom=0.0209 corrected_energy_ev_per_fu=-110.39 polymorph_energy_mev_per_atom=96.1 space_group="P4/mmm, No. 123" pbc="T T T"
Mg -1.2357 -0.7490 -2.6938
O 0.7261 -0.8368 -1.9092
O -4.4708 -1.8580 -0.8859
O -5.7836 -2.6036 -3.6105
Mg -3.7447 -2.6948 -2.7951
O -3.3550 -0.6542 -3.5413
Hf -4.0810 0.1826 -1.6321
Mg -5.4742 -0.5594 -4.3888
Mg -2.3515 -1.9528 -0.0384
Mg 0.3364 -2.8774 -1.1631
O -2.1403 0.0958 -0.8559
O -1.7058 -2.7860 -1.9798
O -6.0218 0.2695 -2.4082
Nb 0.0000 0.0000 0.0000
O -0.3897 -2.0406 0.7462
Mg -6.5900 -1.7632 -1.7334

5.
114
Lattice="-7.3913 3.8814 -4.0934 2.1078 -8.9203 -1.6983 -13.9927 -6.7505 18.3033" Properties=species:S:1:pos:R:3 comment="Na2LaInSiS2O12, relaxed, DFT PBE" magnetic_moment_mub_per_atom=0.0000 corrected_energy_ev_per_fu=-130.29 space_group="P1, No. 1" pbc="T T T"
O -8.9948 -1.4049 0.6121
La -1.2969 -4.9769 -2.1676
La -8.1124 -8.2582 7.0230
S -6.1144 1.6492 -1.1522
O -8.9931 -10.2529 7.6194
O -13.1837 -5.9730 11.0329
La -19.1500 -1.9246 11.3843
In -6.9460 -1.6249 0.1006
O -6.6404 -1.1679 2.2896
O -3.9710 -10.2386 5.9095
Si -4.4827 -8.6981 6.3184
S -16.2757 -7.3770 8.4016
O -12.6760 -6.4900 8.0160
O -6.7885 -4.0339 -3.8434
O -2.3685 -9.1949 1.3140
O -10.6784 -7.7014 7.4280
O -11.0609 -4.1035 3.4745
S -8.4115 -8.9567 3.3698
O -12.3369 -10.5698 9.9687
O -12.4410 -6.2725 13.2297
O -7.1347 -8.2270 3.1265
La -17.8964 -6.9766 14.7856
O -6.4614 0.4715 -0.3334
O -15.3967 -6.4515 9.1420
O -8.5454 -5.8076 0.9100
Na -13.2344 -3.6350 12.0579
Si -6.9501 -2.4507 -3.4486
O -3.1254 -1.4390 -1.6807
O -12.6184 -7.9226 6.0193
O -2.3244 -1.5671 0.5334
O -18.5099 -6.0787 12.5500
Na 1.8937 -8.6518 -1.7175
O -7.2394 -2.2094 -1.8361
O -12.2309 -3.6218 9.4636
Si -10.7993 -2.9522 9.0432
S -5.8970 -0.5069 3.3882
O -4.3406 -8.0656 1.9620
Na -3.4180 -5.7202 0.7055
O -7.3107 2.2466 -1.7848
O -10.2347 -1.4932 4.8277
O -6.7821 -5.2131 4.4020
O -11.4280 -5.8581 5.9962
O -13.1241 -3.0797 5.7296
O -4.6819 -2.1085 0.0891
O -14.8933 -1.7189 6.5311
O -3.3455 -6.2952 -1.9651
O -4.3582 -7.7113 5.0018
O -9.5156 -8.4934 2.5005
Na -10.4382 -9.1828 9.6526
O -16.6712 -8.2400 13.1011
Si -10.2540 -0.4946 -0.0284
O -16.2234 -10.3052 14.3435
O -11.8131 -7.9183 11.5304
O -16.0636 -5.6687 14.4145
S -7.5105 -4.7256 5.6050
O -8.8645 -8.7653 4.7682
O -11.1020 0.1704 1.2037
O -7.9056 -5.8388 6.4715
La -7.4798 -5.9931 -2.9013
O -7.3728 -3.7472 0.9448
O -6.6847 -3.7689 6.4070
O -6.1647 -5.7846 1.5981
S -12.3369 -9.3440 16.0212
O -14.8055 -9.5911 12.5025
S -3.2890 -2.1815 -0.4182
O -2.3058 -3.2555 3.0132
O -13.5506 -10.0533 16.4889
O -8.6978 -3.9586 5.1083
S -7.1932 -5.2145 0.7027
Na -8.2395 -1.7585 6.3783
O -12.5263 -12.3665 12.6988
O -5.6381 -1.6404 -4.0273
In -10.9685 -3.7440 5.5233
La -12.5525 -10.2160 12.2331
O -13.3859 -10.3755 7.5355
S -14.5218 -3.1326 6.2326
Na -18.8607 -8.4899 11.7954
O -6.0696 -8.9852 6.6493
O -11.8338 -14.2741 14.4592
S -16.1768 -9.6477 13.0357
O -0.9284 -5.6678 -0.0359
In -13.7680 -4.9351 9.1547
O -15.0284 -3.9281 10.4846
O -8.2120 -11.8895 11.3301
O -5.9738 -1.3729 4.5906
O -3.7484 -5.4741 3.1606
Na -5.0558 -12.0990 7.4423
O -10.7870 -5.7579 11.5226
O -9.5156 -3.4833 9.9506
O -10.4056 -3.1411 7.4322
O -8.0658 -7.5709 9.3289
Na -2.2532 -7.2721 3.5916
Na -15.8759 -5.6871 12.0398
O -10.0571 -10.5249 11.9344
In -12.1802 1.4767 2.3014
S -11.8547 -6.9682 6.8832
O -12.1660 -9.4880 14.5617
Si -13.0915 -13.5799 13.6639
Si -15.5304 -2.3499 10.6147
O -2.8958 -3.6014 -0.6056
O -13.9774 -12.9452 14.9036
O -16.7397 -8.4045 9.3625
O -12.4578 -7.9387 16.4320
In -5.4139 -6.6918 3.5241
O -17.0153 -2.4262 11.2817
O -5.2271 1.2845 -2.2800
In -9.0994 -4.3521 11.8015
Na -9.1398 -2.5939 2.7207
Na -0.8782 -3.6163 1.1181
O -14.6446 -3.9953 7.4233
Na -11.1565 -10.1183 6.5785
O -17.0822 -10.3757 12.1074
O -6.7373 -5.4443 -0.6818
S -12.0320 -6.4942 11.8211

6.
28
Lattice="-2.8025 12.8695 4.8313 -4.3178 1.5880 -6.7348 -5.6017 -2.3592 3.0350" Properties=species:S:1:pos:R:3 comment="Tm2MgSe4, relaxed, DFT PBE" magnetic_moment_mub_per_atom=0.0001 corrected_energy_ev_per_fu=-38.06 polymorph_energy_mev_per_atom=26.8 space_group="Pnma, No. 62" pbc="T T T"
Se -8.0943 11.6565 -1.9081
Se -4.4374 4.4902 -1.0665
Mg -6.7285 5.4493 -1.8094
Se -4.6276 0.4418 3.0396
Tm -4.9597 -0.3856 -1.8499
Se -8.8152 4.5803 -0.6765
Tm -3.9197 4.2076 -3.9030
Tm -2.8008 -1.1796 1.5175
Se -7.8670 10.5436 5.0604
Mg -6.4865 -0.5836 1.5516
Se -9.7544 11.2097 1.4888
Se -6.4815 4.1023 2.6533
Mg -5.9934 6.6490 2.9409
Se -6.5688 5.2741 -4.3910
Se -2.9676 0.8886 -0.3573
Se -4.8550 1.5547 -3.9289
Se -3.9068 7.5180 1.8080
Se -8.2845 7.6081 2.1980
Tm -8.0770 9.4816 0.0059
Tm -8.8023 7.8907 5.0345
Se -6.2405 7.9961 -1.5218
Se -5.9629 10.8726 1.4165
Se -6.1531 6.8242 5.5225
Se -6.7590 1.2257 -0.2850
Tm -3.5601 7.2288 -0.9518
Mg -6.2354 12.6819 -0.4201
Tm -1.4012 6.4347 2.4156
Tm -4.6450 2.6167 1.1256

7.
16
Lattice="5.2074 0.0000 0.0000 0.0000 6.4065 0.0000 0.0000 0.0000 11.8416" Properties=species:S:1:pos:R:3 comment="CaMg6Sn, relaxed, DFT PBE" magnetic_moment_mub_per_atom=0.0006 polymorph_energy_mev_per_atom=0.0 pbc="T T T"
Mg 0.0000 3.2032 9.9160
Mg 0.0000 0.0000 9.8922
Mg 0.0000 4.8215 6.8545
Mg 0.0000 1.6183 0.9337
Mg 0.0000 1.5850 6.8545
Mg 0.0000 0.0000 3.9952
Mg 2.6037 1.6077 10.8634
Sn 2.6037 3.2032 1.9573
Mg 2.6037 1.5955 4.9426
Mg 0.0000 3.2032 3.9715
Ca 2.6037 0.0000 2.0066
Mg 2.6037 4.7988 10.8634
Mg 0.0000 4.7882 0.9337
Ca 2.6037 3.2032 7.9274
Mg 2.6037 4.8109 4.9426
Sn 2.6037 0.0000 7.8781

Per-record formation energy from the elements, eV/atom: -1.98 -2.08 -1.44 -2.57 -2.47 -1.93 -0.08
Per-record mass density, g/cm³: 3.5 4.3 4.2 5.3 3.2 5.8 2.6
Per-record calculated total energy, eV per atom: -6.008 -5.323 -4.857 -6.556 -6.423 -5.167 -2.035